## 1
This record from the Materials Project database describes an optimized crystal structure of SrFe12O19. The functional is GGA+U.

a = 5.9977 Å, b = 5.9977 Å, c = 23.3482 Å
α = 90.00°, β = 90.00°, γ = 120.00°
Element x y z (fractional)
Fe (0.8318, 0.1682, 0.3903)
Fe (0.0000, 0.0000, 0.7500)
Fe (0.1682, 0.3363, 0.8903)
Fe (0.6667, 0.3333, 0.5275)
Fe (0.3333, 0.6667, 0.4725)
Fe (0.6667, 0.3333, 0.6910)
Fe (0.8318, 0.1682, 0.1097)
Fe (0.1682, 0.3363, 0.6097)
Fe (0.0000, 0.0000, 0.2500)
Fe (0.0000, 0.0000, 0.0000)
Fe (0.0000, 0.0000, 0.5000)
Fe (0.3333, 0.6667, 0.0275)
Fe (0.3333, 0.6667, 0.1910)
Fe (0.3363, 0.1682, 0.1097)
Fe (0.1682, 0.8318, 0.8903)
Fe (0.8318, 0.6637, 0.3903)
Fe (0.8318, 0.6637, 0.1097)
Fe (0.6667, 0.3333, 0.9725)
Fe (0.6637, 0.8318, 0.6097)
Fe (0.6637, 0.8318, 0.8903)
Fe (0.6667, 0.3333, 0.8090)
Fe (0.3333, 0.6667, 0.3090)
Fe (0.3363, 0.1682, 0.3903)
Fe (0.1682, 0.8318, 0.6097)
O (0.8171, 0.1829, 0.7500)
O (0.9884, 0.4942, 0.3486)
O (0.4942, 0.5058, 0.8486)
O (0.0116, 0.5058, 0.6514)
O (0.1829, 0.3657, 0.2500)
O (0.0000, 0.0000, 0.6527)
O (0.8171, 0.6343, 0.7500)
O (0.6667, 0.3333, 0.4443)
O (0.1553, 0.8447, 0.4470)
O (0.5058, 0.0116, 0.3486)
O (0.8447, 0.1553, 0.9470)
O (0.5058, 0.4942, 0.3486)
O (0.5058, 0.0116, 0.1514)
O (0.0000, 0.0000, 0.1527)
O (0.4942, 0.9884, 0.8486)
O (0.6343, 0.8171, 0.2500)
O (0.4942, 0.9884, 0.6514)
O (0.1829, 0.8171, 0.2500)
O (0.3333, 0.6667, 0.9443)
O (0.5058, 0.4942, 0.1514)
O (0.3657, 0.1829, 0.7500)
O (0.6667, 0.3333, 0.0557)
O (0.4942, 0.5058, 0.6514)
O (0.6893, 0.8447, 0.0530)
O (0.6893, 0.8447, 0.4470)
O (0.8447, 0.6893, 0.5530)
O (0.0116, 0.5058, 0.8486)
O (0.1553, 0.8447, 0.0530)
O (0.0000, 0.0000, 0.8473)
O (0.1553, 0.3107, 0.0530)
O (0.3107, 0.1553, 0.9470)
O (0.1553, 0.3107, 0.4470)
O (0.3333, 0.6667, 0.5557)
O (0.8447, 0.1553, 0.5530)
O (0.9884, 0.4942, 0.1514)
O (0.3107, 0.1553, 0.5530)
O (0.0000, 0.0000, 0.3473)
O (0.8447, 0.6893, 0.9470)
Sr (0.6667, 0.3333, 0.2500)
Sr (0.3333, 0.6667, 0.7500)

Computed properties:
M_tot ... 120.000 μB per cell
Symmetry ... P6_3/mmc

---

## 2
This record from the Materials Project database describes an optimized crystal structure of SrFe12O19. The functional is GGA+U.

a = 6.0111 Å, b = 6.0111 Å, c = 23.3561 Å
α = 90.00°, β = 90.00°, γ = 120.00°
Element x y z (fractional)
Fe (0.6667, 0.3333, 0.9721)
Fe (0.6580, 0.8290, 0.6096)
Fe (0.8350, 0.1650, 0.3913)
Fe (0.3333, 0.6667, 0.4721)
Fe (0.1710, 0.8290, 0.6096)
Fe (0.8290, 0.6580, 0.1096)
Fe (0.0000, 0.0000, 0.2521)
Fe (0.1650, 0.3300, 0.8913)
Fe (0.0000, 0.0000, 0.0000)
Fe (0.3333, 0.6667, 0.0284)
Fe (0.3420, 0.1710, 0.1096)
Fe (0.3333, 0.6667, 0.1910)
Fe (0.0000, 0.0000, 0.5000)
Fe (0.6667, 0.3333, 0.6910)
Fe (0.1650, 0.8350, 0.8913)
Fe (0.8350, 0.6700, 0.3913)
Fe (0.0000, 0.0000, 0.7521)
Fe (0.8290, 0.1710, 0.1096)
Fe (0.3333, 0.6667, 0.3088)
Fe (0.6667, 0.3333, 0.5284)
Fe (0.6700, 0.8350, 0.8913)
Fe (0.1710, 0.3420, 0.6096)
Fe (0.3300, 0.1650, 0.3913)
Fe (0.6667, 0.3333, 0.8088)
O (0.4901, 0.9803, 0.8483)
O (0.0197, 0.5099, 0.8483)
O (0.6831, 0.8415, 0.4469)
O (0.3032, 0.1516, 0.5531)
O (0.8415, 0.1585, 0.9469)
O (0.0000, 0.0000, 0.8478)
O (0.9949, 0.4975, 0.1515)
O (0.1585, 0.3169, 0.4469)
O (0.4975, 0.5025, 0.6515)
O (0.8211, 0.1789, 0.7504)
O (0.8484, 0.1516, 0.5531)
O (0.6968, 0.8484, 0.0531)
O (0.6667, 0.3333, 0.4451)
O (0.3577, 0.1789, 0.7504)
O (0.8484, 0.6968, 0.5531)
O (0.5025, 0.4975, 0.1515)
O (0.3169, 0.1585, 0.9469)
O (0.5099, 0.4901, 0.3483)
O (0.1789, 0.8211, 0.2504)
O (0.1516, 0.8484, 0.0531)
O (0.0051, 0.5025, 0.6515)
O (0.0000, 0.0000, 0.3478)
O (0.5025, 0.0051, 0.1515)
O (0.5099, 0.0197, 0.3483)
O (0.4901, 0.5099, 0.8483)
O (0.9803, 0.4901, 0.3483)
O (0.1516, 0.3032, 0.0531)
O (0.1585, 0.8415, 0.4469)
O (0.6423, 0.8211, 0.2504)
O (0.1789, 0.3577, 0.2504)
O (0.3333, 0.6667, 0.5554)
O (0.6667, 0.3333, 0.0554)
O (0.0000, 0.0000, 0.1521)
O (0.8211, 0.6423, 0.7504)
O (0.0000, 0.0000, 0.6521)
O (0.8415, 0.6831, 0.9469)
O (0.4975, 0.9949, 0.6515)
O (0.3333, 0.6667, 0.9451)
Sr (0.6667, 0.3333, 0.2494)
Sr (0.3333, 0.6667, 0.7494)

Computed properties:
M_tot ... 120.000 μB per cell
Symmetry ... P6_3mc

---

Which is most stable, and by how much? 1, by 9 meV per atom.

---

## 1
This record from the Materials Project database describes an optimized crystal structure of Sr4Fe4O11. The functional is GGA+U.

a = 6.8036 Å, b = 6.8036 Å, c = 5.5433 Å
α = 90.00°, β = 90.00°, γ = 109.83°
Element x y z (fractional)
O (0.3414, 0.0989, 0.7599)
O (0.0989, 0.3414, 0.7599)
O (0.2741, 0.7259, 0.5000)
O (0.5000, 0.5000, 0.0000)
O (0.0989, 0.3414, 0.2401)
O (0.3414, 0.0989, 0.2401)
O (0.6586, 0.9011, 0.7599)
O (0.7259, 0.2741, 0.5000)
O (0.9011, 0.6586, 0.7599)
O (0.6586, 0.9011, 0.2401)
O (0.9011, 0.6586, 0.2401)
Fe (0.2544, 0.2544, 0.0000)
Fe (0.5000, 0.0000, 0.5000)
Fe (0.0000, 0.5000, 0.5000)
Fe (0.7456, 0.7456, 0.0000)
Sr (0.7416, 0.2584, 0.0000)
Sr (0.0000, 0.0000, 0.5000)
Sr (0.5000, 0.5000, 0.5000)
Sr (0.2584, 0.7416, 0.0000)

Computed properties:
Symmetry ... Cmmm

---

## 2
This record from the Materials Project database describes an optimized crystal structure of Sr4Fe4O11. The functional is GGA+U.

a = 5.5935 Å, b = 7.8602 Å, c = 11.1361 Å
α = 90.00°, β = 90.00°, γ = 90.00°
Element x y z (fractional)
O (0.5000, 0.5000, 0.0000)
O (0.5014, 0.5000, 0.2446)
O (0.2698, 0.2383, 0.8871)
O (0.5000, 0.0000, 0.5000)
O (0.0000, 0.0000, 0.5000)
O (0.4876, 0.0000, 0.2427)
O (0.2698, 0.7617, 0.8871)
O (0.0014, 0.0000, 0.2554)
O (0.7698, 0.7383, 0.6129)
O (0.2302, 0.7383, 0.3871)
O (0.5000, 0.5000, 0.5000)
O (0.0000, 0.0000, 0.0000)
O (0.0124, 0.5000, 0.7427)
O (0.4986, 0.5000, 0.7554)
O (0.9876, 0.5000, 0.2573)
O (0.7302, 0.7617, 0.1129)
O (0.7302, 0.2383, 0.1129)
O (0.9986, 0.0000, 0.7446)
O (0.0000, 0.5000, 0.0000)
O (0.5124, 0.0000, 0.7573)
O (0.2302, 0.2617, 0.3871)
O (0.7698, 0.2617, 0.6129)
Fe (0.7698, 0.0000, 0.1335)
Fe (0.7475, 0.5000, 0.1220)
Fe (0.2525, 0.5000, 0.8780)
Fe (0.7525, 0.0000, 0.6220)
Fe (0.2475, 0.0000, 0.3780)
Fe (0.2698, 0.5000, 0.3665)
Fe (0.7302, 0.5000, 0.6335)
Fe (0.2302, 0.0000, 0.8665)
Sr (0.2579, 0.7584, 0.6278)
Sr (0.7421, 0.7584, 0.3722)
Sr (0.7579, 0.2584, 0.8722)
Sr (0.2579, 0.2416, 0.6278)
Sr (0.2421, 0.7416, 0.1278)
Sr (0.7421, 0.2416, 0.3722)
Sr (0.7579, 0.7416, 0.8722)
Sr (0.2421, 0.2584, 0.1278)

Computed properties:
M_tot ... 35.997 μB per cell
Symmetry ... Pnnm

---

Which is most stable, and by how much? 1, by 13 meV per atom.

---

## 1
This record from the Materials Project database describes an optimized crystal structure of Tb3Fe5O12. The functional is GGA+U.

a = 10.8221 Å, b = 10.8221 Å, c = 10.8221 Å
α = 109.45°, β = 109.45°, γ = 109.45°
Element x y z (fractional)
Tb (0.3769, 0.1230, 0.7497)
Tb (0.2503, 0.6231, 0.8770)
Tb (0.3756, 0.2505, 0.1243)
Tb (0.6244, 0.7495, 0.8757)
Tb (0.6231, 0.8770, 0.2503)
Tb (0.1243, 0.3756, 0.2505)
Tb (0.7497, 0.3769, 0.1230)
Tb (0.7495, 0.8757, 0.6244)
Tb (0.8770, 0.2503, 0.6231)
Tb (0.8757, 0.6244, 0.7495)
Tb (0.1230, 0.7497, 0.3769)
Tb (0.2505, 0.1243, 0.3756)
O (0.3271, 0.2951, 0.9185)
O (0.9725, 0.8768, 0.7939)
O (0.0854, 0.4036, 0.8714)
O (0.1232, 0.2061, 0.0275)
O (0.0909, 0.6723, 0.9706)
O (0.0815, 0.6729, 0.7049)
O (0.5964, 0.1286, 0.9146)
O (0.2920, 0.3738, 0.4702)
O (0.4036, 0.8714, 0.0854)
O (0.1734, 0.5821, 0.2027)
O (0.1286, 0.9146, 0.5964)
O (0.9706, 0.0909, 0.6723)
O (0.2061, 0.0275, 0.1232)
O (0.9068, 0.5802, 0.3786)
O (0.7973, 0.8266, 0.4179)
O (0.5802, 0.3786, 0.9068)
O (0.8714, 0.0854, 0.4036)
O (0.0294, 0.9091, 0.3277)
O (0.9185, 0.3271, 0.2951)
O (0.6723, 0.9706, 0.0909)
O (0.3738, 0.4702, 0.2920)
O (0.5287, 0.8249, 0.4048)
O (0.8768, 0.7939, 0.9725)
O (0.4048, 0.5287, 0.8249)
O (0.0275, 0.1232, 0.2061)
O (0.6729, 0.7049, 0.0815)
O (0.7049, 0.0815, 0.6729)
O (0.0932, 0.4198, 0.6214)
O (0.9146, 0.5964, 0.1286)
O (0.7939, 0.9725, 0.8768)
O (0.6214, 0.0932, 0.4198)
O (0.5298, 0.7080, 0.6262)
O (0.4179, 0.7973, 0.8266)
O (0.7080, 0.6262, 0.5298)
O (0.4702, 0.2920, 0.3738)
O (0.5821, 0.2027, 0.1734)
O (0.3786, 0.9068, 0.5802)
O (0.1751, 0.5952, 0.4713)
O (0.5952, 0.4713, 0.1751)
O (0.2951, 0.9185, 0.3271)
O (0.4713, 0.1751, 0.5952)
O (0.6262, 0.5298, 0.7080)
O (0.4198, 0.6214, 0.0932)
O (0.2027, 0.1734, 0.5821)
O (0.8249, 0.4048, 0.5287)
O (0.8266, 0.4179, 0.7973)
O (0.3277, 0.0294, 0.9091)
O (0.9091, 0.3277, 0.0294)
Fe (0.1272, 0.8730, 0.7507)
Fe (0.0000, 0.5000, 0.5000)
Fe (0.8728, 0.1270, 0.2493)
Fe (0.5000, 0.0000, 0.5000)
Fe (0.0000, 0.0000, 0.5000)
Fe (0.5000, 0.0000, 0.0000)
Fe (0.6267, 0.3745, 0.7527)
Fe (0.2473, 0.3733, 0.6255)
Fe (0.3745, 0.7527, 0.6267)
Fe (0.0000, 0.5000, 0.0000)
Fe (0.5000, 0.5000, 0.5000)
Fe (0.8730, 0.7507, 0.1272)
Fe (0.7507, 0.1272, 0.8730)
Fe (0.6255, 0.2473, 0.3733)
Fe (0.3733, 0.6255, 0.2473)
Fe (0.5000, 0.5000, 0.0000)
Fe (0.2493, 0.8728, 0.1270)
Fe (0.0000, 0.0000, 0.0000)
Fe (0.7527, 0.6267, 0.3745)
Fe (0.1270, 0.2493, 0.8728)

Computed properties:
M_tot ... 100.000 μB per cell
Symmetry ... R-3

---

## 2
This record from the Materials Project database describes an optimized crystal structure of Tb3Fe5O12. The functional is GGA+U.

a = 10.8881 Å, b = 10.8881 Å, c = 10.8881 Å
α = 109.47°, β = 109.47°, γ = 109.47°
Element x y z (fractional)
O (0.1778, 0.2059, 0.5833)
O (0.9167, 0.1226, 0.5945)
O (0.3222, 0.9055, 0.0281)
O (0.3774, 0.2941, 0.4719)
O (0.9055, 0.0281, 0.3222)
O (0.9055, 0.3774, 0.5833)
O (0.4719, 0.3774, 0.2941)
O (0.3222, 0.9167, 0.2941)
O (0.4167, 0.8222, 0.7941)
O (0.8222, 0.5281, 0.4055)
O (0.0945, 0.6226, 0.4167)
O (0.7059, 0.5281, 0.6226)
O (0.4055, 0.0833, 0.8774)
O (0.5281, 0.6226, 0.7059)
O (0.0833, 0.8774, 0.4055)
O (0.0945, 0.9719, 0.6778)
O (0.5833, 0.1778, 0.2059)
O (0.6778, 0.0945, 0.9719)
O (0.6226, 0.7059, 0.5281)
O (0.8774, 0.9719, 0.7941)
O (0.4719, 0.5945, 0.1778)
O (0.7941, 0.4167, 0.8222)
O (0.9719, 0.7941, 0.8774)
O (0.6226, 0.4167, 0.0945)
O (0.5833, 0.9055, 0.3774)
O (0.0281, 0.3222, 0.9055)
O (0.6778, 0.0833, 0.7059)
O (0.4055, 0.8222, 0.5281)
O (0.8774, 0.4055, 0.0833)
O (0.7941, 0.8774, 0.9719)
O (0.1226, 0.5945, 0.9167)
O (0.4167, 0.0945, 0.6226)
O (0.5945, 0.9167, 0.1226)
O (0.1778, 0.4719, 0.5945)
O (0.2059, 0.5833, 0.1778)
O (0.0281, 0.2059, 0.1226)
O (0.8222, 0.7941, 0.4167)
O (0.9719, 0.6778, 0.0945)
O (0.5281, 0.4055, 0.8222)
O (0.2059, 0.1226, 0.0281)
O (0.3774, 0.5833, 0.9055)
O (0.1226, 0.0281, 0.2059)
O (0.0833, 0.7059, 0.6778)
O (0.9167, 0.2941, 0.3222)
O (0.2941, 0.4719, 0.3774)
O (0.7059, 0.6778, 0.0833)
O (0.2941, 0.3222, 0.9167)
O (0.5945, 0.1778, 0.4719)
Tb (0.2500, 0.8750, 0.6250)
Tb (0.8750, 0.7500, 0.6250)
Tb (0.8750, 0.6250, 0.2500)
Tb (0.3750, 0.1250, 0.2500)
Tb (0.1250, 0.3750, 0.7500)
Tb (0.7500, 0.6250, 0.8750)
Tb (0.6250, 0.8750, 0.7500)
Tb (0.6250, 0.2500, 0.8750)
Tb (0.2500, 0.3750, 0.1250)
Tb (0.7500, 0.1250, 0.3750)
Tb (0.1250, 0.2500, 0.3750)
Tb (0.3750, 0.7500, 0.1250)
Fe (0.2500, 0.6250, 0.3750)
Fe (0.1250, 0.7500, 0.8750)
Fe (0.1250, 0.8750, 0.2500)
Fe (0.0000, 0.0000, 0.0000)
Fe (0.8750, 0.2500, 0.1250)
Fe (0.5000, 0.5000, 0.5000)
Fe (0.0000, 0.5000, 0.0000)
Fe (0.7500, 0.8750, 0.1250)
Fe (0.3750, 0.6250, 0.7500)
Fe (0.0000, 0.0000, 0.5000)
Fe (0.5000, 0.0000, 0.5000)
Fe (0.0000, 0.5000, 0.5000)
Fe (0.7500, 0.3750, 0.6250)
Fe (0.3750, 0.2500, 0.6250)
Fe (0.2500, 0.1250, 0.8750)
Fe (0.8750, 0.1250, 0.7500)
Fe (0.6250, 0.3750, 0.2500)
Fe (0.5000, 0.0000, 0.0000)
Fe (0.6250, 0.7500, 0.3750)
Fe (0.5000, 0.5000, 0.0000)

Computed properties:
M_tot ... 99.986 μB per cell
Symmetry ... Ia-3d

---

Which is most stable, and by how much? 2, by 6 meV per atom.